! K2InAgCl6 | Materials Project | GGA-PBE | optimized geometry; values from VASP
&SYSTEM
  ibrav = 0, nat = 10, ntyp = 4
/
ATOMIC_SPECIES
K 39.10 K.upf
In 114.82 In.upf
Ag 107.87 Ag.upf
Cl 35.45 Cl.upf
CELL_PARAMETERS angstrom
0.0000 5.2484 5.2484
5.2484 0.0000 5.2484
5.2484 5.2484 0.0000
ATOMIC_POSITIONS crystal
K 0.7500 0.7500 0.7500
K 0.2500 0.2500 0.2500
In 0.0000 0.0000 0.0000
Ag 0.5000 0.5000 0.5000
Cl 0.7574 0.2426 0.2426
Cl 0.2426 0.2426 0.7574
Cl 0.2426 0.7574 0.7574
Cl 0.2426 0.7574 0.2426
Cl 0.7574 0.2426 0.7574
Cl 0.7574 0.7574 0.2426
! Raw total energy ... -32.012 eV for the cell shown
! Spin magnetization ... 0.00 μB per atom
! Space group ... No. 225